Record 1
The following is a meta-GGA r2SCAN calculation of La5Ir2 after structural relaxation, from the Materials Project.

E_form	-0.63	eV per atom

Lattice parameters (Å, degrees): 6.841 7.385 9.187 94.89 111.86 90.00
Sites, in units of the cell vectors:
Ir1 0.178 0.419 0.775
Ir2 0.597 0.919 0.775
Ir3 0.822 0.581 0.225
Ir4 0.403 0.081 0.225
La1 0.014 0.090 0.817
La2 0.986 0.910 0.183
La3 0.650 0.829 0.431
La4 0.573 0.250 0.000
La5 0.781 0.329 0.431
La6 0.350 0.171 0.569
La7 0.802 0.590 0.817
La8 0.427 0.750 0.000
La9 0.198 0.410 0.183
La10 0.219 0.671 0.569


Record 2
The following is a meta-GGA r2SCAN calculation of LaIr2 after structural relaxation, from the Materials Project.

E_form	-0.81	eV per atom

Lattice parameters (Å, degrees): 5.451 5.451 5.451 60.00 60.00 60.00
Sites, in units of the cell vectors:
Ir1 0.000 0.500 0.500
Ir2 0.500 0.500 0.500
Ir3 0.500 0.500 0.000
Ir4 0.500 0.000 0.500
La1 0.875 0.875 0.875
La2 0.125 0.125 0.125